This record from the Materials Project database describes a relaxed Li4TeO5 crystal. The functional is GGA-PBE. Values from VASP.

```
&SYSTEM
  ibrav = 0, nat = 20, ntyp = 3
/
ATOMIC_SPECIES
Li 6.94 Li.upf
Te 127.60 Te.upf
O 16.00 O.upf
CELL_PARAMETERS angstrom
-2.2227 0.9883 -4.5773
-1.5199 -4.9545 0.8930
-4.0893 4.6338 4.8537
ATOMIC_POSITIONS angstrom
Li -3.4529 -2.0826 0.3244
Li -4.3791 2.7502 0.8450
Li -2.0447 2.3169 2.4269
Li -1.1114 0.4942 -2.2887
Li -4.7278 2.3908 3.6224
Li -3.1042 -1.7232 -2.4530
Li -4.0624 0.0430 2.1305
Li -3.7695 0.6246 -0.9611
Te -6.4058 0.6185 0.4543
Te -1.4262 0.0491 0.7151
O -5.6710 1.4725 2.0181
O -2.1610 -0.8049 -0.8487
O -2.3082 -1.1900 1.8638
O -5.5238 1.8576 -0.6944
O -1.7417 -3.7853 0.3527
O -6.0903 4.4529 0.8167
O -5.0588 -1.2154 3.5298
O -2.7732 1.8830 -2.3604
O -2.7671 1.4142 0.6930
O -5.0649 -0.7466 0.4764
```

Values from the calculation:
* space-group type: P-1
* total energy: -106.25 eV per cell
* energy of formation from the pure elements: -2104 meV per atom